No. 1
Density functional theory data (PBE) for Na18Ta8Zn4Si15S3O72 after structural relaxation.

Magnetic moment ... 0.000 μB/atom
Total energy ... -7.143 eV/atom
Energy of formation ... -2774 meV per atom

POSCAR file:
```
Na18Ta8Zn4Si15S3O72
1.0
9.093 -0.010 -0.003
-4.555 7.857 -0.001
-0.007 -0.006 22.397
O Na Si Zn Ta S
72 18 15 4 8 3
Direct
0.495 0.629 0.858 O
0.503 0.116 0.639 O
0.523 0.813 0.755 O
0.810 0.979 0.411 O
0.793 0.820 0.197 O
0.213 0.197 0.807 O
0.872 0.504 0.145 O
0.175 0.686 0.755 O
0.630 0.516 0.647 O
0.168 0.196 0.416 O
0.296 0.462 0.752 O
0.021 0.197 0.199 O
0.135 0.502 0.857 O
0.176 0.201 0.698 O
0.973 0.812 0.093 O
0.305 0.820 0.255 O
0.348 0.499 0.073 O
0.805 0.828 0.919 O
0.317 0.483 0.472 O
0.512 0.369 0.423 O
0.313 0.841 0.975 O
0.502 0.393 0.140 O
0.533 0.698 0.253 O
0.976 0.791 0.813 O
0.859 0.319 0.244 O
0.834 0.013 0.093 O
0.165 0.482 0.972 O
0.507 0.663 0.575 O
0.833 0.299 0.526 O
0.833 0.534 0.026 O
0.371 0.508 0.358 O
0.461 0.320 0.745 O
0.466 0.162 0.523 O
0.170 0.980 0.194 O
0.855 0.485 0.423 O
0.531 0.841 0.475 O
0.172 0.985 0.915 O
0.688 0.542 0.246 O
0.820 0.035 0.812 O
0.151 0.501 0.572 O
0.028 0.830 0.693 O
0.153 0.663 0.076 O
0.344 0.850 0.573 O
0.515 0.147 0.922 O
0.633 0.145 0.422 O
0.518 0.683 0.974 O
0.489 0.169 0.247 O
0.684 0.166 0.745 O
0.169 0.461 0.253 O
0.211 0.019 0.314 O
0.506 0.847 0.072 O
0.164 0.689 0.474 O
0.698 0.530 0.527 O
0.016 0.826 0.416 O
0.026 0.194 0.915 O
0.607 0.107 0.139 O
0.833 0.519 0.747 O
0.807 0.972 0.693 O
0.492 0.862 0.360 O
0.838 0.812 0.589 O
0.983 0.196 0.307 O
0.182 0.018 0.590 O
0.370 0.866 0.861 O
0.700 0.163 0.024 O
0.187 0.161 0.092 O
0.973 0.158 0.590 O
0.137 0.629 0.360 O
0.462 0.295 0.025 O
0.901 0.389 0.643 O
0.802 0.794 0.306 O
0.857 0.369 0.923 O
0.630 0.485 0.923 O
0.719 0.035 0.910 Na
0.998 0.007 0.993 Na
0.965 0.684 0.910 Na
0.026 0.687 0.587 Na
0.655 0.325 0.321 Na
0.317 0.035 0.409 Na
0.659 0.977 0.587 Na
0.967 0.286 0.413 Na
0.976 0.361 0.747 Na
0.324 0.660 0.168 Na
0.650 0.630 0.746 Na
0.010 0.010 0.494 Na
0.318 0.286 0.914 Na
0.714 0.681 0.413 Na
0.321 0.976 0.088 Na
0.662 0.687 0.087 Na
0.334 0.671 0.666 Na
0.668 0.325 0.823 Na
0.619 0.662 0.917 Si
0.337 0.380 0.415 Si
0.963 0.334 0.585 Si
0.954 0.615 0.088 Si
0.042 0.377 0.915 Si
0.378 0.338 0.085 Si
0.375 0.045 0.585 Si
0.336 0.963 0.919 Si
0.659 0.617 0.587 Si
0.302 0.009 0.254 Si
0.040 0.663 0.417 Si
0.707 0.004 0.753 Si
0.625 0.959 0.416 Si
0.999 0.706 0.753 Si
0.669 0.042 0.085 Si
0.013 0.003 0.353 Zn
0.675 0.328 0.680 Zn
0.650 0.318 0.179 Zn
0.984 0.988 0.852 Zn
0.331 0.674 0.313 Ta
0.336 0.680 0.813 Ta
0.328 0.663 0.021 Ta
0.335 0.665 0.520 Ta
0.664 0.331 0.480 Ta
0.009 0.001 0.145 Ta
0.670 0.333 0.981 Ta
0.994 0.989 0.645 Ta
0.707 0.711 0.252 S
0.288 0.290 0.752 S
0.003 0.291 0.252 S
```

=====

No. 2
Density functional theory data (PBE) for Na4Ta2Zn2Si3S3O24 after structural relaxation.

Magnetic moment ... 0.000 μB/atom
Total energy ... -6.730 eV/atom
Energy of formation ... -2454 meV per atom

POSCAR file:
```
Na4Ta2Zn2Si3S3O24
1.0
-0.868 -8.828 -1.605
6.225 2.978 5.775
-14.712 -1.472 16.965
O Na Si S Ta Zn
72 12 9 9 6 6
Direct
0.001 0.799 0.406 O
0.531 0.701 0.255 O
0.209 0.034 0.305 O
0.169 0.998 0.911 O
0.326 0.490 0.073 O
0.130 0.483 0.864 O
0.137 0.690 0.471 O
0.513 0.147 0.924 O
0.523 0.683 0.581 O
0.793 0.814 0.915 O
0.867 0.377 0.921 O
0.488 0.167 0.247 O
0.473 0.377 0.149 O
0.533 0.862 0.470 O
0.158 0.176 0.412 O
0.003 0.204 0.916 O
0.846 0.541 0.032 O
0.341 0.872 0.574 O
0.519 0.630 0.862 O
0.793 0.980 0.410 O
0.834 0.520 0.746 O
0.957 0.799 0.090 O
0.124 0.658 0.083 O
0.816 0.030 0.817 O
0.510 0.864 0.362 O
0.804 0.808 0.308 O
0.503 0.852 0.077 O
0.970 0.797 0.807 O
0.360 0.489 0.354 O
0.534 0.671 0.969 O
0.175 0.466 0.254 O
0.847 0.026 0.094 O
0.525 0.812 0.761 O
0.177 0.209 0.698 O
0.645 0.502 0.924 O
0.307 0.855 0.981 O
0.871 0.490 0.417 O
0.203 0.041 0.584 O
0.636 0.134 0.415 O
0.191 0.151 0.090 O
0.292 0.458 0.467 O
0.867 0.334 0.240 O
0.984 0.160 0.589 O
0.301 0.471 0.755 O
0.693 0.523 0.531 O
0.139 0.641 0.364 O
0.483 0.307 0.032 O
0.357 0.852 0.864 O
0.144 0.509 0.575 O
0.176 0.692 0.758 O
0.459 0.321 0.745 O
0.139 0.465 0.972 O
0.171 0.970 0.191 O
0.638 0.517 0.649 O
0.868 0.363 0.635 O
0.640 0.126 0.141 O
0.857 0.815 0.590 O
0.208 0.201 0.807 O
0.686 0.545 0.251 O
0.703 0.166 0.024 O
0.306 0.817 0.259 O
0.862 0.524 0.141 O
0.038 0.836 0.690 O
0.513 0.354 0.423 O
0.973 0.199 0.307 O
0.795 0.823 0.199 O
0.467 0.160 0.529 O
0.471 0.123 0.638 O
0.838 0.299 0.518 O
0.812 0.973 0.699 O
0.031 0.201 0.200 O
0.658 0.150 0.744 O
0.371 0.350 0.243 Na
0.013 0.016 0.499 Na
0.648 0.316 0.327 Na
0.646 0.628 0.743 Na
0.700 0.024 0.904 Na
0.014 0.004 0.987 Na
0.334 0.649 0.655 Na
0.321 0.968 0.075 Na
0.025 0.678 0.593 Na
0.988 0.302 0.425 Na
0.352 0.666 0.151 Na
0.681 0.331 0.818 Na
0.669 0.037 0.086 Si
0.664 0.629 0.591 Si
0.332 0.363 0.415 Si
0.298 0.999 0.251 Si
0.711 0.010 0.757 Si
0.318 0.954 0.921 Si
0.377 0.349 0.086 Si
0.963 0.333 0.582 Si
0.997 0.709 0.751 Si
0.621 0.959 0.418 S
0.714 0.720 0.254 S
0.946 0.619 0.087 S
0.040 0.663 0.417 S
0.001 0.294 0.251 S
0.622 0.657 0.918 S
0.041 0.384 0.920 S
0.371 0.044 0.585 S
0.286 0.293 0.752 S
0.329 0.679 0.810 Ta
0.009 0.001 0.142 Ta
0.661 0.340 0.485 Ta
0.340 0.670 0.313 Ta
0.655 0.318 0.981 Ta
0.986 0.997 0.648 Ta
0.691 0.338 0.686 Zn
0.345 0.629 0.524 Zn
0.006 0.994 0.847 Zn
0.024 0.007 0.351 Zn
0.634 0.307 0.178 Zn
0.344 0.674 0.018 Zn
```

=====

No. 3
Density functional theory data (PBE) for NaZrTaSi2SO12 after structural relaxation.

Magnetic moment ... 0.000 μB/atom
Total energy ... -7.841 eV/atom
Energy of formation ... -2961 meV per atom

POSCAR file:
```
NaZrTaSi2SO12
1.0
8.953 0.000 0.000
-4.477 7.739 -0.017
0.000 -0.053 23.137
Ta O Si Zr S Na
6 72 12 6 6 6
Direct
0.329 0.659 0.812 Ta
0.662 0.326 0.478 Ta
0.664 0.326 0.978 Ta
0.997 0.993 0.645 Ta
0.996 0.993 0.145 Ta
0.330 0.659 0.312 Ta
0.030 0.206 0.197 O
0.814 0.822 0.912 O
0.139 0.502 0.860 O
0.516 0.691 0.259 O
0.794 0.986 0.409 O
0.871 0.361 0.639 O
0.481 0.155 0.246 O
0.842 0.025 0.092 O
0.365 0.860 0.578 O
0.831 0.305 0.526 O
0.182 0.025 0.592 O
0.501 0.130 0.921 O
0.341 0.489 0.079 O
0.843 0.540 0.030 O
0.543 0.855 0.469 O
0.295 0.463 0.755 O
0.696 0.540 0.530 O
0.168 0.463 0.255 O
0.629 0.130 0.421 O
0.698 0.527 0.245 O
0.475 0.305 0.026 O
0.156 0.694 0.473 O
0.176 0.206 0.697 O
0.646 0.522 0.635 O
0.509 0.358 0.425 O
0.490 0.361 0.139 O
0.461 0.320 0.742 O
0.526 0.653 0.576 O
0.849 0.481 0.425 O
0.632 0.481 0.925 O
0.324 0.478 0.474 O
0.192 0.986 0.909 O
0.176 0.691 0.759 O
0.674 0.155 0.746 O
0.657 0.145 0.140 O
0.312 0.855 0.969 O
0.472 0.169 0.526 O
0.834 0.796 0.588 O
0.990 0.811 0.807 O
0.829 0.527 0.745 O
0.363 0.873 0.864 O
0.210 0.189 0.802 O
0.031 0.194 0.911 O
0.164 0.972 0.193 O
0.162 0.194 0.411 O
0.979 0.189 0.302 O
0.806 0.835 0.193 O
0.497 0.639 0.860 O
0.962 0.796 0.088 O
0.516 0.815 0.758 O
0.363 0.502 0.360 O
0.966 0.148 0.591 O
0.148 0.489 0.579 O
0.859 0.320 0.242 O
0.008 0.822 0.412 O
0.127 0.653 0.076 O
0.821 0.811 0.307 O
0.496 0.860 0.078 O
0.538 0.694 0.973 O
0.510 0.873 0.364 O
0.876 0.522 0.135 O
0.849 0.358 0.925 O
0.696 0.169 0.026 O
0.808 0.972 0.693 O
0.488 0.145 0.640 O
0.030 0.835 0.693 O
0.823 0.027 0.806 O
0.141 0.639 0.360 O
0.204 0.027 0.306 O
0.182 0.148 0.091 O
0.299 0.815 0.258 O
0.154 0.478 0.974 O
0.336 0.380 0.417 Si
0.003 0.713 0.751 Si
0.710 0.713 0.251 Si
0.953 0.324 0.583 Si
0.377 0.046 0.584 Si
0.038 0.657 0.416 Si
0.670 0.046 0.084 Si
0.620 0.657 0.916 Si
0.371 0.324 0.083 Si
0.704 0.991 0.749 Si
0.043 0.380 0.917 Si
0.286 0.991 0.249 Si
0.313 0.658 0.522 Zr
0.646 0.325 0.189 Zr
0.345 0.658 0.022 Zr
0.980 0.992 0.855 Zr
0.012 0.992 0.355 Zr
0.679 0.325 0.689 Zr
0.337 0.955 0.916 S
0.671 0.622 0.583 S
0.004 0.289 0.250 S
0.618 0.955 0.416 S
0.951 0.622 0.083 S
0.285 0.289 0.750 S
0.658 0.345 0.331 Na
0.687 0.345 0.831 Na
0.020 0.012 0.498 Na
0.325 0.678 0.665 Na
0.992 0.012 0.998 Na
0.353 0.678 0.165 Na
```

=====

Q: total energy of number 3 (NaZrTaSi2SO12)?
A: -7.841 eV/atom